Entry 1:
Density functional theory data (PBE) for crystalline Te2Mo3Se7Br10 at its relaxed geometry.

Values from the calculation:
- formation energy (eV per atom) = -0.733
- M_tot (μB/f.u.) = 0.00

a b c (Å): 10.653 11.511 12.862
angles (deg): 84.69 85.46 76.61
Space group P-1 (No. 2)
One atom of each set of equivalent atoms:
Te (0.130, 0.050, 0.369) [2 per cell]
Te (0.156, 0.177, 0.789) [2 per cell]
Mo (0.209, 0.408, 0.778) [2 per cell]
Mo (0.395, 0.494, 0.866) [2 per cell]
Mo (0.396, 0.493, 0.649) [2 per cell]
Se (0.152, 0.578, 0.635) [2 per cell]
Se (0.152, 0.580, 0.898) [2 per cell]
Se (0.229, 0.390, 0.980) [2 per cell]
Se (0.230, 0.387, 0.574) [2 per cell]
Se (0.381, 0.684, 0.742) [2 per cell]
Se (0.417, 0.450, 0.260) [2 per cell]
Se (0.442, 0.308, 0.770) [2 per cell]
Br (0.021, 0.843, 0.451) [2 per cell]
Br (0.040, 0.604, 0.212) [2 per cell]
Br (0.095, 0.824, 0.755) [2 per cell]
Br (0.096, 0.131, 0.980) [2 per cell]
Br (0.222, 0.236, 0.301) [2 per cell]
Br (0.235, 0.922, 0.217) [2 per cell]
Br (0.325, 0.979, 0.484) [2 per cell]
Br (0.373, 0.020, 0.792) [2 per cell]
Br (0.420, 0.639, 0.472) [2 per cell]
Br (0.420, 0.640, 0.015) [2 per cell]



Entry 2:
Density functional theory data (PBE) for crystalline Te4MoBr at its relaxed geometry.

Values from the calculation:
- formation energy (eV per atom) = -0.347

a b c (Å): 6.903 8.362 8.372
angles (deg): 115.20 102.79 100.78
Space group P-1 (No. 2)
One atom of each set of equivalent atoms:
Te (0.035, 0.393, 0.216) [2 per cell]
Te (0.121, 0.820, 0.181) [2 per cell]
Te (0.387, 0.354, 0.698) [2 per cell]
Te (0.464, 0.275, 0.057) [2 per cell]
Mo (0.218, 0.500, 0.999) [2 per cell]
Br (0.253, 0.909, 0.581) [2 per cell]



Entry 3:
Density functional theory data (PBE) for crystalline Na4BrN3 at its relaxed geometry.

Values from the calculation:
- formation energy (eV per atom) = 0.625
- M_tot (μB/f.u.) = 6.00

a b c (Å): 6.743 12.132 8.546
angles (deg): 90.00 90.00 90.00
Space group Pnnm (No. 58)
One atom of each set of equivalent atoms:
Na (0.000, 0.000, 0.177) [4 per cell]
Na (0.079, 0.277, 0.256) [8 per cell]
Na (0.198, 0.610, 0.000) [4 per cell]
Br (0.183, 0.881, 0.500) [4 per cell]
N (0.152, 0.813, 0.000) [4 per cell]
N (0.219, 0.618, 0.271) [8 per cell]



Entry 4:
Density functional theory data (PBE) for crystalline Na2Pr4Br9NO at its relaxed geometry.

Values from the calculation:
- formation energy (eV per atom) = -2.018
- M_tot (μB/f.u.) = 0.00

a b c (Å): 8.801 11.826 9.847
angles (deg): 90.00 106.48 90.00
Space group P2_1 (No. 4)
One atom of each set of equivalent atoms:
Na (0.220, 0.000, 0.427) [2 per cell]
Na (0.221, 0.523, 0.428) [2 per cell]
Pr (0.295, 0.049, 0.953) [2 per cell]
Pr (0.300, 0.462, 0.954) [2 per cell]
Pr (0.394, 0.762, 0.789) [2 per cell]
Pr (0.407, 0.763, 0.164) [2 per cell]
Br (0.100, 0.922, 0.686) [2 per cell]
Br (0.103, 0.600, 0.690) [2 per cell]
Br (0.114, 0.914, 0.122) [2 per cell]
Br (0.117, 0.607, 0.119) [2 per cell]
Br (0.233, 0.260, 0.739) [2 per cell]
Br (0.253, 0.260, 0.145) [2 per cell]
Br (0.353, 0.763, 0.466) [2 per cell]
Br (0.492, 0.015, 0.695) [2 per cell]
Br (0.493, 0.509, 0.696) [2 per cell]
N (0.443, 0.884, 0.985) [2 per cell]
O (0.444, 0.633, 0.985) [2 per cell]



Entry 5:
Density functional theory data (PBE) for crystalline NbBr4NO at its relaxed geometry.

Values from the calculation:
- formation energy (eV per atom) = -0.206
- M_tot (μB/f.u.) = 2.00

a b c (Å): 12.625 13.937 7.905
angles (deg): 90.00 116.39 90.00
Space group C2/m (No. 12)
One atom of each set of equivalent atoms:
Nb (0.000, 0.000, 0.000) [2 per cell]
Nb (0.172, 0.500, 0.626) [4 per cell]
Br (0.000, 0.182, 0.000) [4 per cell]
Br (0.095, 0.000, 0.769) [4 per cell]
Br (0.161, 0.365, 0.842) [8 per cell]
Br (0.188, 0.375, 0.403) [8 per cell]
N (0.000, 0.202, 0.500) [4 per cell]
N (0.000, 0.500, 0.000) [2 per cell]
O (0.000, 0.500, 0.500) [2 per cell]
O (0.158, 0.000, 0.211) [4 per cell]



Entry 6:
Density functional theory data (PBE) for crystalline Nb3Br7N2O5 at its relaxed geometry.

Values from the calculation:
- formation energy (eV per atom) = -0.865
- M_tot (μB/f.u.) = 4.00

a b c (Å): 18.200 8.944 11.502
angles (deg): 90.00 110.04 90.00
Space group C2/c (No. 15)
One atom of each set of equivalent atoms:
Nb (0.000, 0.032, 0.250) [4 per cell]
Nb (0.003, 0.285, 0.979) [8 per cell]
Br (0.000, 0.423, 0.750) [4 per cell]
Br (0.149, 0.064, 0.332) [8 per cell]
Br (0.149, 0.287, 0.626) [8 per cell]
Br (0.152, 0.287, 0.043) [8 per cell]
N (0.198, 0.452, 0.356) [8 per cell]
O (0.000, 0.500, 0.000) [4 per cell]
O (0.001, 0.107, 0.873) [8 per cell]
O (0.001, 0.208, 0.123) [8 per cell]



Entry 7:
Density functional theory data (PBE) for crystalline Nd10Si10BrN17O9 at its relaxed geometry.

Values from the calculation:
- formation energy (eV per atom) = -2.094

a b c (Å): 10.548 11.257 11.659
angles (deg): 90.06 90.04 90.06
Space group P1 (No. 1)
One atom of each set of equivalent atoms:
Nd (0.000, 0.000, 0.000) [1 per cell]
Nd (0.001, 0.001, 0.339) [1 per cell]
Nd (0.118, 0.882, 0.668) [1 per cell]
Nd (0.123, 0.628, 0.169) [1 per cell]
Nd (0.135, 0.400, 0.939) [1 per cell]
Nd (0.135, 0.402, 0.399) [1 per cell]
Nd (0.347, 0.131, 0.165) [1 per cell]
Nd (0.348, 0.901, 0.935) [1 per cell]
Nd (0.351, 0.897, 0.404) [1 per cell]
Nd (0.367, 0.383, 0.672) [1 per cell]
Nd (0.490, 0.497, 0.996) [1 per cell]
Nd (0.494, 0.499, 0.343) [1 per cell]
Nd (0.619, 0.871, 0.174) [1 per cell]
Nd (0.628, 0.103, 0.931) [1 per cell]
Nd (0.631, 0.616, 0.667) [1 per cell]
Nd (0.633, 0.098, 0.408) [1 per cell]
Nd (0.854, 0.113, 0.671) [1 per cell]
Nd (0.855, 0.603, 0.928) [1 per cell]
Nd (0.855, 0.604, 0.412) [1 per cell]
Nd (0.887, 0.368, 0.170) [1 per cell]
Si (0.108, 0.738, 0.924) [1 per cell]
Si (0.109, 0.739, 0.414) [1 per cell]
Si (0.142, 0.148, 0.803) [1 per cell]
Si (0.143, 0.149, 0.535) [1 per cell]
Si (0.206, 0.893, 0.169) [1 per cell]
Si (0.275, 0.392, 0.170) [1 per cell]
Si (0.343, 0.648, 0.804) [1 per cell]
Si (0.344, 0.646, 0.535) [1 per cell]
Si (0.376, 0.240, 0.925) [1 per cell]
Si (0.377, 0.245, 0.415) [1 per cell]
Si (0.608, 0.756, 0.926) [1 per cell]
Si (0.609, 0.761, 0.413) [1 per cell]
Si (0.643, 0.355, 0.805) [1 per cell]
Si (0.646, 0.353, 0.534) [1 per cell]
Si (0.706, 0.608, 0.169) [1 per cell]
Si (0.779, 0.111, 0.170) [1 per cell]
Si (0.841, 0.856, 0.807) [1 per cell]
Si (0.843, 0.857, 0.534) [1 per cell]
Si (0.876, 0.254, 0.924) [1 per cell]
Si (0.878, 0.255, 0.415) [1 per cell]
Br (0.537, 0.034, 0.670) [1 per cell]
Br (0.938, 0.534, 0.670) [1 per cell]
N (0.018, 0.193, 0.891) [1 per cell]
N (0.022, 0.195, 0.445) [1 per cell]
N (0.073, 0.600, 0.368) [1 per cell]
N (0.074, 0.599, 0.970) [1 per cell]
N (0.084, 0.122, 0.668) [1 per cell]
N (0.112, 0.406, 0.171) [1 per cell]
N (0.143, 0.034, 0.170) [1 per cell]
N (0.166, 0.819, 0.045) [1 per cell]
N (0.167, 0.818, 0.293) [1 per cell]
N (0.222, 0.751, 0.815) [1 per cell]
N (0.225, 0.751, 0.521) [1 per cell]
N (0.262, 0.252, 0.817) [1 per cell]
N (0.265, 0.251, 0.522) [1 per cell]
N (0.327, 0.325, 0.046) [1 per cell]
N (0.329, 0.323, 0.292) [1 per cell]
N (0.401, 0.619, 0.670) [1 per cell]
N (0.408, 0.100, 0.973) [1 per cell]
N (0.465, 0.693, 0.894) [1 per cell]
N (0.469, 0.690, 0.449) [1 per cell]
N (0.515, 0.308, 0.884) [1 per cell]
N (0.520, 0.305, 0.451) [1 per cell]
N (0.574, 0.900, 0.366) [1 per cell]
N (0.595, 0.388, 0.669) [1 per cell]
N (0.666, 0.684, 0.048) [1 per cell]
N (0.668, 0.681, 0.292) [1 per cell]
N (0.720, 0.752, 0.819) [1 per cell]
N (0.723, 0.752, 0.520) [1 per cell]
N (0.762, 0.251, 0.819) [1 per cell]
N (0.766, 0.250, 0.522) [1 per cell]
N (0.821, 0.184, 0.049) [1 per cell]
N (0.823, 0.183, 0.292) [1 per cell]
N (0.891, 0.887, 0.671) [1 per cell]
N (0.969, 0.809, 0.888) [1 per cell]
N (0.972, 0.812, 0.454) [1 per cell]
O (0.174, 0.009, 0.848) [1 per cell]
O (0.178, 0.011, 0.487) [1 per cell]
O (0.311, 0.509, 0.851) [1 per cell]
O (0.312, 0.507, 0.488) [1 per cell]
O (0.340, 0.530, 0.170) [1 per cell]
O (0.368, 0.908, 0.169) [1 per cell]
O (0.406, 0.107, 0.368) [1 per cell]
O (0.577, 0.894, 0.969) [1 per cell]
O (0.622, 0.087, 0.170) [1 per cell]
O (0.636, 0.474, 0.168) [1 per cell]
O (0.672, 0.491, 0.859) [1 per cell]
O (0.674, 0.489, 0.480) [1 per cell]
O (0.809, 0.992, 0.858) [1 per cell]
O (0.812, 0.994, 0.485) [1 per cell]
O (0.839, 0.972, 0.169) [1 per cell]
O (0.862, 0.580, 0.167) [1 per cell]
O (0.905, 0.394, 0.372) [1 per cell]
O (0.905, 0.394, 0.967) [1 per cell]



Entry 8:
Density functional theory data (PBE) for crystalline Nd3SeBrN2 at its relaxed geometry.

Values from the calculation:
- formation energy (eV per atom) = -1.681
- M_tot (μB/f.u.) = 0.00

a b c (Å): 13.313 4.135 12.853
angles (deg): 90.00 90.00 90.00
Space group Pnma (No. 62)
One atom of each set of equivalent atoms:
Nd (0.020, 0.250, 0.113) [4 per cell]
Nd (0.089, 0.750, 0.614) [4 per cell]
Nd (0.198, 0.250, 0.845) [4 per cell]
Se (0.065, 0.750, 0.359) [4 per cell]
Br (0.243, 0.750, 0.065) [4 per cell]
N (0.054, 0.250, 0.934) [4 per cell]
N (0.142, 0.750, 0.775) [4 per cell]



Copy entry 6 word for word.
Density functional theory data (PBE) for crystalline Nb3Br7N2O5 at its relaxed geometry.

Values from the calculation:
- formation energy (eV per atom) = -0.865
- M_tot (μB/f.u.) = 4.00

a b c (Å): 18.200 8.944 11.502
angles (deg): 90.00 110.04 90.00
Space group C2/c (No. 15)
One atom of each set of equivalent atoms:
Nb (0.000, 0.032, 0.250) [4 per cell]
Nb (0.003, 0.285, 0.979) [8 per cell]
Br (0.000, 0.423, 0.750) [4 per cell]
Br (0.149, 0.064, 0.332) [8 per cell]
Br (0.149, 0.287, 0.626) [8 per cell]
Br (0.152, 0.287, 0.043) [8 per cell]
N (0.198, 0.452, 0.356) [8 per cell]
O (0.000, 0.500, 0.000) [4 per cell]
O (0.001, 0.107, 0.873) [8 per cell]
O (0.001, 0.208, 0.123) [8 per cell]



Which formula does entry 6 have?
Nb3Br7N2O5